A plane-wave DFT calculation with PBE-GGA was carried out for a relaxed MgF3 crystal.

The structure in POSCAR format:
```
MgF3
1.0
3.142 0.000 0.000
0.000 3.142 0.000
0.000 0.000 7.883
Mg F
2 6
direct
0.000 0.000 0.000 Mg
0.500 0.500 0.500 Mg
0.000 0.000 0.500 F
0.000 0.500 0.250 F
0.000 0.500 0.750 F
0.500 0.000 0.250 F
0.500 0.000 0.750 F
0.500 0.500 0.000 F
```

A plane-wave DFT calculation with PBE-GGA was carried out for a relaxed Mg2NF crystal.

The structure in POSCAR format:
```
Mg2NF
1.0
4.220 0.000 0.000
0.000 4.220 0.000
0.000 0.000 10.180
Mg N F
8 4 4
direct
0.000 0.250 0.087 Mg
0.000 0.250 0.663 Mg
0.000 0.750 0.337 Mg
0.000 0.750 0.913 Mg
0.500 0.250 0.413 Mg
0.500 0.250 0.837 Mg
0.500 0.750 0.163 Mg
0.500 0.750 0.587 Mg
0.000 0.250 0.875 N
0.000 0.750 0.125 N
0.500 0.250 0.625 N
0.500 0.750 0.375 N
0.000 0.250 0.375 F
0.000 0.750 0.625 F
0.500 0.250 0.125 F
0.500 0.750 0.875 F
```

MgSbS2NF6, relaxed, DFT PBE-GGA; polymorph energy (0 for the lowest one) = 0.107 eV/atom
1.0
4.975 -3.278 0.000
4.975 3.278 0.000
-0.909 0.000 6.542
Mg Sb S N F
1 1 2 1 6
direct
0.000 0.000 0.000 Mg
0.500 0.500 0.000 Sb
0.152 0.152 0.510 S
0.848 0.848 0.490 S
0.000 0.000 0.500 N
0.117 0.680 0.103 F
0.320 0.883 0.897 F
0.373 0.373 0.709 F
0.627 0.627 0.291 F
0.680 0.117 0.103 F
0.883 0.320 0.897 F

MgSbS2NF6, relaxed, DFT PBE-GGA; polymorph energy (0 for the lowest one) = 0.000 eV/atom
1.0
4.932 -3.823 0.000
4.932 3.823 0.000
-0.517 0.000 6.567
Mg Sb S N F
1 1 2 1 6
direct
0.000 0.000 0.000 Mg
0.072 0.928 0.500 Sb
0.359 0.360 0.893 S
0.640 0.641 0.107 S
0.509 0.491 0.000 N
0.019 0.226 0.834 F
0.023 0.781 0.781 F
0.121 0.624 0.387 F
0.219 0.977 0.219 F
0.376 0.879 0.613 F
0.774 0.981 0.166 F

A plane-wave DFT calculation with PBE-GGA was carried out for a relaxed Na2MgPO4F crystal.

The structure in POSCAR format:
```
Na2MgPO4F
1.0
5.279 0.000 0.000
0.000 13.876 0.000
0.000 0.000 11.803
Na Mg P O F
16 8 8 32 8
direct
0.240 0.247 0.171 Na
0.240 0.753 0.671 Na
0.244 0.377 0.919 Na
0.244 0.623 0.419 Na
0.256 0.123 0.419 Na
0.256 0.877 0.919 Na
0.260 0.253 0.671 Na
0.260 0.747 0.171 Na
0.740 0.253 0.829 Na
0.740 0.747 0.329 Na
0.744 0.123 0.081 Na
0.744 0.877 0.581 Na
0.756 0.377 0.581 Na
0.756 0.623 0.081 Na
0.760 0.247 0.329 Na
0.760 0.753 0.829 Na
0.221 0.487 0.676 Mg
0.221 0.513 0.176 Mg
0.279 0.013 0.176 Mg
0.279 0.987 0.676 Mg
0.721 0.013 0.324 Mg
0.721 0.987 0.824 Mg
0.779 0.487 0.824 Mg
0.779 0.513 0.324 Mg
0.208 0.118 0.912 P
0.208 0.882 0.412 P
0.292 0.382 0.412 P
0.292 0.618 0.912 P
0.708 0.382 0.088 P
0.708 0.618 0.588 P
0.792 0.118 0.588 P
0.792 0.882 0.088 P
0.083 0.101 0.607 O
0.083 0.899 0.107 O
0.146 0.463 0.348 O
0.146 0.537 0.848 O
0.211 0.283 0.369 O
0.211 0.717 0.869 O
0.234 0.391 0.541 O
0.234 0.609 0.041 O
0.266 0.109 0.041 O
0.266 0.891 0.541 O
0.289 0.217 0.869 O
0.289 0.783 0.369 O
0.354 0.037 0.848 O
0.354 0.963 0.348 O
0.417 0.399 0.107 O
0.417 0.601 0.607 O
0.583 0.399 0.393 O
0.583 0.601 0.893 O
0.646 0.037 0.652 O
0.646 0.963 0.152 O
0.711 0.217 0.631 O
0.711 0.783 0.131 O
0.734 0.109 0.459 O
0.734 0.891 0.959 O
0.766 0.391 0.959 O
0.766 0.609 0.459 O
0.789 0.283 0.131 O
0.789 0.717 0.631 O
0.854 0.463 0.152 O
0.854 0.537 0.652 O
0.917 0.101 0.893 O
0.917 0.899 0.393 O
0.000 0.088 0.250 F
0.000 0.377 0.750 F
0.000 0.623 0.250 F
0.000 0.912 0.750 F
0.500 0.123 0.250 F
0.500 0.412 0.750 F
0.500 0.588 0.250 F
0.500 0.877 0.750 F
```

A plane-wave DFT calculation with PBE-GGA was carried out for a relaxed Na3MgTi2P2O10F crystal.

The structure in POSCAR format:
```
Na3MgTi2P2O10F
1.0
6.627 0.000 0.000
-0.127 6.645 0.000
-3.249 -3.315 5.158
Na Mg Ti P O F
3 1 2 2 10 1
direct
0.000 0.000 0.000 Na
0.013 0.478 0.001 Na
0.542 0.478 0.001 Na
0.525 0.014 0.001 Mg
0.059 0.521 0.580 Ti
0.479 0.942 0.421 Ti
0.030 0.993 0.505 P
0.526 0.488 0.496 P
0.116 0.898 0.315 O
0.121 0.268 0.689 O
0.128 0.895 0.687 O
0.420 0.570 0.669 O
0.432 0.579 0.311 O
0.442 0.208 0.314 O
0.598 0.063 0.755 O
0.752 0.902 0.331 O
0.802 0.583 0.686 O
0.844 0.310 0.246 O
0.295 0.754 0.001 F
```

A plane-wave DFT calculation with PBE-GGA was carried out for a relaxed Na3MgTi2P2O10F crystal.

The structure in POSCAR format:
```
Na3MgTi2P2O10F
1.0
0.000 5.153 4.651
4.732 0.000 4.651
4.732 5.153 0.000
Na Mg Ti P O F
3 1 2 2 10 1
direct
0.000 0.000 0.000 Na
0.007 0.474 0.993 Na
0.474 0.007 0.526 Na
0.476 0.476 0.524 Mg
0.534 0.954 0.046 Ti
0.954 0.534 0.466 Ti
0.485 0.485 0.015 P
0.985 0.985 0.515 P
0.168 0.414 0.586 O
0.209 0.580 0.103 O
0.265 0.894 0.414 O
0.414 0.168 0.832 O
0.573 0.586 0.106 O
0.580 0.209 0.108 O
0.586 0.573 0.735 O
0.892 0.897 0.420 O
0.894 0.265 0.427 O
0.897 0.892 0.791 O
0.721 0.721 0.279 F
```

NaMg3Si4O11F, relaxed, DFT PBE-GGA; polymorph energy (0 for the lowest one) = 0.229 eV/atom
1.0
8.286 0.000 0.000
1.351 9.945 0.000
2.366 0.275 11.452
Na Mg Si O F
4 12 16 44 4
direct
0.023 0.277 0.444 Na
0.250 0.770 0.204 Na
0.750 0.230 0.796 Na
0.977 0.723 0.556 Na
0.070 0.615 0.882 Mg
0.075 0.179 0.946 Mg
0.303 0.519 0.474 Mg
0.342 0.795 0.708 Mg
0.396 0.239 0.739 Mg
0.426 0.724 0.959 Mg
0.574 0.276 0.041 Mg
0.604 0.761 0.261 Mg
0.658 0.205 0.292 Mg
0.697 0.481 0.526 Mg
0.925 0.821 0.054 Mg
0.930 0.385 0.118 Mg
0.010 0.938 0.796 Si
0.019 0.454 0.697 Si
0.266 0.036 0.570 Si
0.292 0.393 0.251 Si
0.296 0.420 0.978 Si
0.316 0.089 0.296 Si
0.364 0.530 0.683 Si
0.469 0.019 0.891 Si
0.531 0.981 0.109 Si
0.636 0.470 0.317 Si
0.684 0.911 0.704 Si
0.704 0.580 0.022 Si
0.708 0.607 0.749 Si
0.734 0.964 0.430 Si
0.981 0.546 0.303 Si
0.990 0.062 0.204 Si
0.043 0.928 0.131 O
0.071 0.402 0.240 O
0.107 0.433 0.564 O
0.112 0.812 0.861 O
0.118 0.361 0.985 O
0.138 0.945 0.663 O
0.157 0.114 0.229 O
0.202 0.465 0.765 O
0.223 0.538 0.322 O
0.235 0.036 0.437 O
0.263 0.586 0.970 O
0.278 0.653 0.608 O
0.292 0.169 0.623 O
0.293 0.256 0.338 O
0.300 0.115 0.877 O
0.353 0.379 0.107 O
0.402 0.926 0.245 O
0.418 0.914 0.019 O
0.457 0.345 0.889 O
0.474 0.410 0.604 O
0.480 0.610 0.747 O
0.494 0.873 0.807 O
0.506 0.127 0.193 O
0.520 0.390 0.253 O
0.526 0.590 0.396 O
0.543 0.655 0.111 O
0.582 0.086 0.981 O
0.598 0.074 0.755 O
0.647 0.621 0.893 O
0.700 0.885 0.123 O
0.707 0.744 0.662 O
0.708 0.831 0.377 O
0.722 0.347 0.392 O
0.737 0.414 0.030 O
0.765 0.964 0.563 O
0.777 0.462 0.678 O
0.798 0.535 0.235 O
0.843 0.886 0.771 O
0.862 0.055 0.337 O
0.882 0.639 0.015 O
0.888 0.188 0.139 O
0.893 0.567 0.436 O
0.929 0.598 0.760 O
0.957 0.072 0.869 O
0.015 0.683 0.221 F
0.430 0.914 0.571 F
0.570 0.086 0.429 F
0.985 0.317 0.779 F

NaMg3Si4O11F, relaxed, DFT PBE-GGA; polymorph energy (0 for the lowest one) = 0.000 eV/atom
1.0
5.356 0.000 0.000
2.062 9.563 0.000
1.031 4.777 9.043
Na Mg Si O F
2 6 8 22 2
direct
0.000 0.000 0.000 Na
0.499 0.772 0.457 Na
0.000 0.323 0.354 Mg
0.000 0.502 0.996 Mg
0.000 0.682 0.637 Mg
0.499 0.592 0.817 Mg
0.500 0.243 0.515 Mg
0.500 0.413 0.174 Mg
0.215 0.618 0.342 Si
0.222 0.965 0.657 Si
0.272 0.303 0.825 Si
0.280 0.136 0.166 Si
0.719 0.699 0.166 Si
0.727 0.872 0.826 Si
0.777 0.379 0.656 Si
0.784 0.040 0.341 Si
0.049 0.273 0.748 O
0.055 0.032 0.246 O
0.205 0.612 0.499 O
0.212 0.305 0.167 O
0.213 0.471 0.829 O
0.227 0.126 0.503 O
0.276 0.792 0.664 O
0.285 0.444 0.345 O
0.287 0.156 0.997 O
0.438 0.724 0.239 O
0.454 0.979 0.748 O
0.545 0.274 0.746 O
0.561 0.037 0.239 O
0.713 0.848 0.997 O
0.715 0.212 0.344 O
0.722 0.545 0.664 O
0.773 0.372 0.502 O
0.786 0.700 0.829 O
0.788 0.528 0.167 O
0.795 0.890 0.499 O
0.944 0.721 0.247 O
0.949 0.979 0.749 O
0.295 0.603 0.000 F
0.704 0.397 0.000 F

NaMg3Si4O11F, relaxed, DFT PBE-GGA; polymorph energy (0 for the lowest one) = 0.274 eV/atom
1.0
8.067 0.000 0.000
1.835 10.136 0.000
2.260 0.998 10.705
Na Mg Si O F
4 12 16 44 4
direct
0.003 0.279 0.456 Na
0.255 0.777 0.229 Na
0.745 0.223 0.771 Na
0.997 0.721 0.544 Na
0.053 0.652 0.862 Mg
0.074 0.191 0.929 Mg
0.317 0.505 0.478 Mg
0.379 0.237 0.705 Mg
0.396 0.777 0.676 Mg
0.401 0.740 0.961 Mg
0.599 0.260 0.039 Mg
0.604 0.223 0.324 Mg
0.621 0.763 0.295 Mg
0.683 0.495 0.522 Mg
0.926 0.809 0.071 Mg
0.947 0.348 0.138 Mg
0.021 0.437 0.697 Si
0.023 0.934 0.812 Si
0.241 0.024 0.563 Si
0.276 0.404 0.257 Si
0.293 0.098 0.288 Si
0.306 0.412 0.965 Si
0.365 0.511 0.711 Si
0.471 0.019 0.885 Si
0.529 0.981 0.115 Si
0.635 0.489 0.289 Si
0.694 0.588 0.035 Si
0.707 0.902 0.712 Si
0.724 0.596 0.743 Si
0.759 0.976 0.437 Si
0.977 0.066 0.188 Si
0.979 0.563 0.303 Si
0.033 0.920 0.154 O
0.058 0.414 0.251 O
0.118 0.413 0.558 O
0.118 0.820 0.907 O
0.130 0.351 0.997 O
0.144 0.135 0.199 O
0.156 0.917 0.673 O
0.176 0.039 0.431 O
0.199 0.550 0.327 O
0.212 0.412 0.761 O
0.258 0.640 0.635 O
0.259 0.156 0.609 O
0.280 0.250 0.337 O
0.287 0.569 0.894 O
0.305 0.124 0.861 O
0.362 0.409 0.105 O
0.391 0.939 0.258 O
0.406 0.924 0.026 O
0.471 0.403 0.299 O
0.478 0.402 0.606 O
0.485 0.338 0.886 O
0.497 0.868 0.808 O
0.503 0.132 0.192 O
0.515 0.662 0.114 O
0.522 0.598 0.394 O
0.529 0.597 0.701 O
0.594 0.076 0.974 O
0.609 0.061 0.742 O
0.638 0.591 0.895 O
0.695 0.876 0.139 O
0.713 0.431 0.106 O
0.720 0.750 0.663 O
0.741 0.844 0.391 O
0.742 0.360 0.365 O
0.788 0.588 0.239 O
0.801 0.450 0.673 O
0.824 0.961 0.569 O
0.844 0.083 0.327 O
0.856 0.865 0.801 O
0.870 0.649 0.003 O
0.882 0.180 0.093 O
0.882 0.587 0.442 O
0.942 0.586 0.749 O
0.967 0.080 0.846 O
0.050 0.673 0.181 F
0.422 0.909 0.533 F
0.578 0.091 0.467 F
0.950 0.327 0.819 F

MgNb2O4F2, relaxed, DFT PBE-GGA; polymorph energy (0 for the lowest one) = 0.079 eV/atom
1.0
4.905 -2.607 0.000
4.905 2.607 0.000
-3.308 0.000 4.691
Mg Nb O F
1 2 4 2
direct
0.000 0.000 0.000 Mg
0.312 0.169 0.739 Nb
0.831 0.688 0.261 Nb
0.048 0.309 0.400 O
0.052 0.318 0.953 O
0.682 0.948 0.047 O
0.691 0.952 0.600 O
0.235 0.765 0.500 F
0.389 0.611 0.000 F

One value per record, in order, for total energy: -3.87, -5.15, -4.73, -4.84, -6.05, -6.84, -6.84, -6.80, -7.03, -6.75, -7.55 eV/atom.